An optimized crystal structure of Na3Eu2Ge2Se6, computed with PBE.

The structure belongs to space group C2/m (No. 12); the cell edges are 7.386, 12.796 and 8.037 Å and the angles 90.00°, 107.76° and 90.00°. The inequivalent atoms are Na at (0.000, 0.000, 0.000), Na at (0.000, 0.326, 0.000), Eu at (0.000, 0.166, 0.500), Ge at (0.054, 0.500, 0.664), Se at (0.247, 0.500, 0.250) and Se at (0.248, 0.335, 0.750).

The formation enthalpy at 0 K is -1.304 eV per atom. The magnetization comes out at 13.0 μB per formula unit.



An optimized crystal structure of AlPO4, computed with PBE.

The structure belongs to space group C222_1 (No. 20); the cell edges are 7.242, 7.254 and 7.167 Å and the angles 90.00°, 90.00° and 90.00°. The inequivalent atoms are Al at (0.205, 0.000, 0.000), P at (0.000, 0.296, 0.250), O at (0.063, 0.176, 0.085) and O at (0.161, 0.419, 0.314).

As for the largest piezoelectric modulus: 2.11 C/m2. The formation enthalpy at 0 K is -3.118 eV per atom.



An optimized crystal structure of EuTh3, computed with PBE.

The structure belongs to space group Pm-3m (No. 221); the cell edges are 5.105, 5.105 and 5.105 Å and the angles 90.00°, 90.00° and 90.00°. The inequivalent atoms are Eu at (0.000, 0.000, 0.000) and Th at (0.000, 0.500, 0.500).

The formation enthalpy at 0 K is 0.146 eV per atom. The magnetization comes out at 6.8 μB per formula unit.